Material: K3NaAl12Si12H8O48
Method: DFT, PBE-GGA
State: optimized geometry

Unit cell a=9.039 b=10.410 c=20.016 alpha=84.38 beta=90.00 gamma=90.00
Fractional positions:
1 K 0.095 0.002 0.750
2 K 0.905 0.998 0.250
3 K 0.605 0.250 0.750
4 K 0.095 0.498 0.750
5 K 0.905 0.502 0.250
6 K 0.395 0.750 0.250
7 Na 0.433 0.250 0.250
8 Na 0.567 0.750 0.750
9 Al 0.584 0.374 0.001
10 Al 0.584 0.126 0.499
11 Al 0.416 0.127 0.999
12 Al 0.416 0.373 0.501
13 Al 0.261 0.234 0.863
14 Al 0.086 0.124 0.999
15 Al 0.261 0.266 0.637
16 Al 0.086 0.376 0.501
17 Al 0.739 0.268 0.138
18 Al 0.914 0.376 0.001
19 Al 0.739 0.232 0.362
20 Al 0.914 0.124 0.499
21 Al 0.584 0.873 0.001
22 Al 0.584 0.627 0.499
23 Al 0.416 0.626 0.999
24 Al 0.416 0.874 0.501
25 Al 0.261 0.732 0.862
26 Al 0.086 0.624 0.999
27 Al 0.261 0.768 0.638
28 Al 0.086 0.876 0.501
29 Al 0.739 0.766 0.137
30 Al 0.914 0.876 0.001
31 Al 0.739 0.734 0.363
32 Al 0.914 0.624 0.499
33 Si 0.756 0.476 0.864
34 Si 0.431 0.493 0.862
35 Si 0.756 0.024 0.636
36 Si 0.431 0.007 0.638
37 Si 0.244 0.026 0.136
38 Si 0.570 0.009 0.138
39 Si 0.244 0.474 0.364
40 Si 0.570 0.491 0.362
41 Si 0.929 0.231 0.863
42 Si 0.929 0.269 0.637
43 Si 0.071 0.270 0.138
44 Si 0.071 0.230 0.362
45 Si 0.756 0.974 0.864
46 Si 0.430 0.991 0.862
47 Si 0.756 0.526 0.636
48 Si 0.430 0.509 0.638
49 Si 0.244 0.524 0.136
50 Si 0.569 0.507 0.138
51 Si 0.244 0.976 0.364
52 Si 0.569 0.993 0.362
53 Si 0.929 0.730 0.862
54 Si 0.929 0.770 0.638
55 Si 0.071 0.769 0.137
56 Si 0.071 0.731 0.363
57 H 0.147 0.437 0.933
58 H 0.147 0.063 0.567
59 H 0.854 0.061 0.068
60 H 0.854 0.439 0.432
61 H 0.659 0.181 0.946
62 H 0.659 0.319 0.553
63 H 0.343 0.319 0.054
64 H 0.343 0.181 0.446
65 H 0.146 0.939 0.932
66 H 0.146 0.561 0.568
67 H 0.854 0.563 0.067
68 H 0.853 0.937 0.433
69 H 0.657 0.681 0.946
70 H 0.657 0.819 0.554
71 H 0.341 0.819 0.053
72 H 0.341 0.681 0.446
73 O 0.392 0.135 0.828
74 O 0.302 0.397 0.841
75 O 0.594 0.452 0.831
76 O 0.057 0.478 0.949
77 O 0.751 0.450 0.945
78 O 0.449 0.484 0.944
79 O 0.392 0.365 0.672
80 O 0.302 0.103 0.659
81 O 0.594 0.048 0.669
82 O 0.057 0.022 0.551
83 O 0.751 0.050 0.555
84 O 0.448 0.016 0.556
85 O 0.603 0.362 0.173
86 O 0.700 0.105 0.159
87 O 0.407 0.050 0.170
88 O 0.943 0.021 0.051
89 O 0.250 0.052 0.055
90 O 0.552 0.017 0.055
91 O 0.603 0.138 0.327
92 O 0.699 0.395 0.341
93 O 0.407 0.450 0.330
94 O 0.943 0.479 0.449
95 O 0.250 0.448 0.445
96 O 0.552 0.483 0.445
97 O 0.866 0.374 0.831
98 O 0.807 0.124 0.841
99 O 0.085 0.207 0.828
100 O 0.566 0.228 0.950
101 O 0.250 0.192 0.950
102 O 0.940 0.230 0.946
103 O 0.866 0.126 0.669
104 O 0.807 0.376 0.659
105 O 0.085 0.293 0.672
106 O 0.566 0.272 0.550
107 O 0.250 0.308 0.550
108 O 0.940 0.270 0.554
109 O 0.131 0.126 0.169
110 O 0.195 0.374 0.161
111 O 0.915 0.296 0.173
112 O 0.435 0.272 0.050
113 O 0.750 0.310 0.051
114 O 0.059 0.270 0.055
115 O 0.131 0.374 0.331
116 O 0.195 0.126 0.339
117 O 0.915 0.204 0.327
118 O 0.435 0.228 0.450
119 O 0.749 0.190 0.449
120 O 0.059 0.230 0.445
121 O 0.397 0.638 0.827
122 O 0.301 0.895 0.841
123 O 0.593 0.950 0.830
124 O 0.057 0.979 0.949
125 O 0.750 0.948 0.945
126 O 0.448 0.983 0.945
127 O 0.397 0.862 0.673
128 O 0.301 0.605 0.659
129 O 0.593 0.550 0.670
130 O 0.057 0.521 0.551
131 O 0.750 0.552 0.555
132 O 0.448 0.517 0.555
133 O 0.608 0.865 0.172
134 O 0.698 0.603 0.159
135 O 0.406 0.548 0.169
136 O 0.943 0.522 0.051
137 O 0.249 0.550 0.055
138 O 0.552 0.516 0.056
139 O 0.608 0.635 0.328
140 O 0.698 0.897 0.341
141 O 0.406 0.952 0.331
142 O 0.943 0.978 0.449
143 O 0.249 0.950 0.445
144 O 0.551 0.984 0.444
145 O 0.869 0.874 0.831
146 O 0.805 0.626 0.839
147 O 0.085 0.704 0.827
148 O 0.565 0.728 0.950
149 O 0.251 0.690 0.949
150 O 0.941 0.730 0.945
151 O 0.869 0.626 0.669
152 O 0.805 0.874 0.661
153 O 0.085 0.796 0.673
154 O 0.565 0.772 0.550
155 O 0.251 0.810 0.551
156 O 0.941 0.770 0.555
157 O 0.134 0.626 0.169
158 O 0.193 0.876 0.159
159 O 0.915 0.793 0.172
160 O 0.434 0.772 0.050
161 O 0.750 0.808 0.050
162 O 0.060 0.770 0.054
163 O 0.134 0.874 0.331
164 O 0.193 0.624 0.341
165 O 0.915 0.707 0.328
166 O 0.434 0.728 0.450
167 O 0.750 0.692 0.450
168 O 0.060 0.730 0.446

Values from the calculation:
Raw total energy: -7.12 eV per atom
Formation energy: -251.9 eV per formula unit
Magnetization: 0.00 μB per atom


Material: MgNb2B2O8
Method: DFT, PBE-GGA
State: optimized geometry

Unit cell a=5.579 b=5.447 c=5.584 alpha=103.72 beta=106.06 gamma=120.20
Fractional positions:
1 Mg 0.291 0.010 0.784
2 Nb 0.115 0.872 0.227
3 Nb 0.873 0.149 0.746
4 B 0.640 0.400 0.279
5 B 0.398 0.621 0.743
6 O 0.768 0.377 0.060
7 O 0.734 0.824 0.923
8 O 0.294 0.245 0.111
9 O 0.201 0.644 0.893
10 O 0.228 0.281 0.607
11 O 0.617 0.196 0.411
12 O 0.843 0.740 0.449
13 O 0.385 0.777 0.553

Values from the calculation:
Raw total energy: -8.01 eV per atom
Formation energy: -34.9 eV per formula unit
Magnetization: 0.15 μB per atom
Energy relative to the lowest polymorph listed for this composition: 0.00 eV per formula unit


Material: KLaCeSnO6
Method: DFT, PBE-GGA
State: optimized geometry

Unit cell a=6.024 b=6.024 c=6.024 alpha=60.00 beta=60.00 gamma=60.00
Fractional positions:
1 K 0.250 0.250 0.250
2 La 0.750 0.750 0.750
3 Ce 0.000 0.000 0.000
4 Sn 0.500 0.500 0.500
5 O 0.742 0.258 0.258
6 O 0.258 0.742 0.742
7 O 0.742 0.258 0.742
8 O 0.258 0.742 0.258
9 O 0.742 0.742 0.258
10 O 0.258 0.258 0.742

Values from the calculation:
Raw total energy: -7.04 eV per atom
Formation energy: -28.9 eV per formula unit
Magnetization: 0.00 μB per atom
Energy relative to the lowest polymorph listed for this composition: 0.97 eV per formula unit